A relaxed ZrTl4S4 crystal. Source: the Materials Project, functional PBE.

The structure in CIF format:
```
data_ZrTl4S4
_space_group_name_H-M_alt 'P -1'
_space_group_IT_number 2
_cell_length_a 9.281
_cell_length_b 9.281
_cell_length_c 15.859
_cell_angle_alpha 104.08
_cell_angle_beta 104.79
_cell_angle_gamma 90.04
loop_
_space_group_symop_operation_xyz
'x,y,z'
'-x,-y,-z'
loop_
_atom_site_label
_atom_site_type_symbol
_atom_site_fract_x
_atom_site_fract_y
_atom_site_fract_z
Zr1 Zr 0.000 0.000 0.000
Zr2 Zr 0.016 0.182 0.600
Zr3 Zr 0.174 0.809 0.199
Tl1 Tl 0.042 0.578 0.800
Tl2 Tl 0.212 0.216 0.401
Tl3 Tl 0.213 0.585 0.595
Tl4 Tl 0.219 0.395 0.993
Tl5 Tl 0.219 0.958 0.797
Tl6 Tl 0.373 0.601 0.388
Tl7 Tl 0.383 0.198 0.191
Tl8 Tl 0.390 0.787 0.003
Tl9 Tl 0.411 0.971 0.600
Tl10 Tl 0.420 0.393 0.797
S1 S 0.063 0.555 0.403
S2 S 0.069 0.898 0.577
S3 S 0.075 0.736 0.022
S4 S 0.087 0.077 0.177
S5 S 0.092 0.239 0.776
S6 S 0.240 0.543 0.194
S7 S 0.249 0.887 0.376
S8 S 0.269 0.071 0.997
S9 S 0.282 0.255 0.604
S10 S 0.438 0.882 0.198
```

Computed properties:
formation energy from the elements = -9.073 eV/f.u.